Record 1
Below is an optimized crystal structure of Cu3SbF12, with properties calculated at the PBE level.

Calculated values
DFT formation energy in kJ/mol of formula units: -3163.1
MP2020-corrected energy in eV/atom: -4.512
Theoretical density in g cm⁻³: 3.71

a = 7.8490 Å, b = 7.8490 Å, c = 7.8490 Å
α = 90.00°, β = 90.00°, γ = 90.00°
Space group Im-3m (No. 229)
One atom of each set of equivalent atoms:
1 Cu 0.0000 0.0000 0.5000 [6 per cell]
2 Sb 0.0000 0.0000 0.0000 [2 per cell]
3 F 0.0000 0.0000 0.2431 [12 per cell]
4 F 0.0000 0.2500 0.5000 [12 per cell]

Record 2
Below is an optimized crystal structure of MgSiO4, with properties calculated at the PBE level.

Calculated values
DFT formation energy in kJ/mol of formula units: -1370.8
MP2020-corrected energy in eV/atom: -6.837
Theoretical density in g cm⁻³: 3.28
M_tot in μB per formula unit: 2.000

a = 4.4979 Å, b = 2.8363 Å, c = 4.6260 Å
α = 90.00°, β = 93.39°, γ = 90.00°
Space group P2/m (No. 10)
One atom of each set of equivalent atoms:
1 Mg 0.0000 0.0000 0.0000 [1 per cell]
2 Si 0.5000 0.5000 0.5000 [1 per cell]
3 O 0.2496 0.5000 0.2135 [2 per cell]
4 O 0.3037 0.0000 0.6613 [2 per cell]

Record 3
Below is an optimized crystal structure of MgTe2Mo2WSe2S2, with properties calculated at the PBE level.

Calculated values
DFT formation energy in kJ/mol of formula units: -450.6
MP2020-corrected energy in eV/atom: -6.247
Theoretical density in g cm⁻³: 4.85
Excess energy over the best structure of this formula in the dataset in eV/atom: 0.042
M_tot in μB per formula unit: 0.014

a = 3.3482 Å, b = 3.3483 Å, c = 30.9311 Å
α = 90.00°, β = 90.00°, γ = 120.00°
Space group P1 (No. 1)
One atom of each set of equivalent atoms:
1 Mg 0.0000 0.0000 0.0000 [1 per cell]
2 Te 0.9840 0.9847 0.6611 [1 per cell]
3 Te 0.9840 0.9847 0.7842 [1 per cell]
4 Mo 0.6507 0.3180 0.2600 [1 per cell]
5 Mo 0.9841 0.9848 0.4913 [1 per cell]
6 W 0.6507 0.3180 0.7227 [1 per cell]
7 Se 0.9840 0.9846 0.2062 [1 per cell]
8 Se 0.9840 0.9847 0.3138 [1 per cell]
9 S 0.6507 0.3181 0.4424 [1 per cell]
10 S 0.6507 0.3181 0.5403 [1 per cell]

Record 4
Below is an optimized crystal structure of Y2HfS5, with properties calculated at the PBE level.

Calculated values
DFT formation energy in kJ/mol of formula units: -1689.0
MP2020-corrected energy in eV/atom: -7.635
Theoretical density in g cm⁻³: 5.27

a = 11.5707 Å, b = 7.7473 Å, c = 7.2688 Å
α = 90.00°, β = 90.00°, γ = 90.00°
Space group Pnma (No. 62)
One atom of each set of equivalent atoms:
1 Y 0.1789 0.0028 0.0217 [8 per cell]
2 Hf 0.0059 0.7500 0.5757 [4 per cell]
3 S 0.0037 0.7500 0.9457 [4 per cell]
4 S 0.0934 0.0364 0.6601 [8 per cell]
5 S 0.1805 0.7500 0.3322 [4 per cell]
6 S 0.2067 0.2500 0.3105 [4 per cell]